VASP calculation (GGA-PBE) on an optimized crystal structure of ZrMnNi.

For the theoretical density, the calculation gives 7.94 Mg/m³. The calculation puts the formation energy at -0.84 eV per formula unit. The energy is -8.110 eV/atom. The calculation puts the total magnetization at 0.12 μB/f.u.

It has space group Amm2 (No. 38), with a = 8.0550 Å, b = 4.8663 Å, c = 8.7450 Å, α = 90.00°, β = 90.00° and γ = 90.00°. The distinct sites, in fractional coordinates, are Zr at (0.1881, 0.0000, 0.0000), Zr at (0.3105, 0.0000, 0.6710), Mn at (0.0000, 0.2472, 0.7545), Mn at (0.2444, 0.0000, 0.3306), Ni at (0.0000, 0.0000, 0.5066), Ni at (0.5000, 0.0000, 0.1695) and Ni at (0.5000, 0.2498, 0.4172).

=====

VASP calculation (GGA-PBE) on an optimized crystal structure of Lu2TcAg.

For the theoretical density, the calculation gives 11.25 Mg/m³. The calculation puts the formation energy at -0.83 eV per formula unit. The energy is -5.767 eV/atom. The calculation puts the total magnetization at 0.00 μB/f.u.

It has space group Fm-3m (No. 225), with a = 6.8979 Å, b = 6.8979 Å, c = 6.8979 Å, α = 90.00°, β = 90.00° and γ = 90.00°. The distinct sites, in fractional coordinates, are Lu at (0.2500, 0.2500, 0.2500), Tc at (0.0000, 0.0000, 0.0000) and Ag at (0.0000, 0.0000, 0.5000).